No. 1
First-principles (PBE-GGA) data for a relaxed In10Sn6S21 crystal, as listed in the Materials Project database.

abc: 3.9090 15.7517 27.9567
angles: 84.57 89.53 89.51
Closest atoms and distances in Å follow each position.
Positions (direct):
In: 0.0000 0.0000 0.0000  6 S 2.62-2.72
In: 0.0001 0.0854 0.6499  6 S 2.60-2.75
In: 0.9996 0.2898 0.1209  6 S 2.57-2.82
In: 0.0000 0.7952 0.5281  6 S 2.60-2.77
In: 0.0012 0.4668 0.2140  6 S 2.58-2.80
In: 0.0007 0.6682 0.6843  6 S 2.62-2.74
In: 0.0008 0.7566 0.3345  6 S 2.63-2.73
In: 0.0005 0.8784 0.1676  6 S 2.66-2.70
In: 0.0012 0.9652 0.8080  6 S 2.64-2.76
In: 0.4979 0.0773 0.1355  4 S 2.49-2.59
In: 0.4994 0.5038 0.0902  6 S 2.58-2.80
In: 0.4991 0.6417 0.4432  4 S 2.54-2.61
In: 0.4992 0.8523 0.9179  6 S 2.55-2.81
In: 0.4996 0.2921 0.6186  6 S 2.56-2.82
In: 0.5014 0.2535 0.2446  6 S 2.60-2.76
In: 0.5011 0.4685 0.7167  4 S 2.54-2.62
In: 0.5006 0.8781 0.6679  6 S 2.60-2.71
In: 0.5021 0.1180 0.8904  4 S 2.55-2.60
In: 0.5018 0.9053 0.4170  6 S 2.55-2.83
In: 0.5029 0.6787 0.1995  4 S 2.49-2.60
Sn: 0.0021 0.2822 0.9718  3 S 2.69-2.72
Sn: 0.0028 0.6854 0.8231  3 S 2.74-2.99
Sn: 0.0057 0.7369 0.0313  5 S 2.74-3.04
Sn: 0.0067 0.5323 0.5619  5 S 2.81-3.06
Sn: 0.0805 0.3335 0.4863  4 S 2.73-3.04
Sn: 0.1274 0.5520 0.9480  4 S 2.72-3.02
Sn: 0.8740 0.2046 0.3868  4 S 2.71-3.02
Sn: 0.9217 0.4197 0.8498  2 S 2.74-2.95
Sn: 0.9935 0.2436 0.7530  5 S 2.79-2.93
Sn: 0.9950 0.0205 0.3032  5 S 2.76-3.06
Sn: 0.9978 0.0723 0.5126  3 S 2.74-2.99
Sn: 0.9991 0.4712 0.3615  3 S 2.67-2.89
S: 0.0006 0.3706 0.6713  4 In 2.79-2.88, 1 Sn 2.89
S: 0.0014 0.7760 0.4306  6 In 2.73-2.89
S: 0.0016 0.8029 0.6206  4 In 2.60-2.71
S: 0.0031 0.0030 0.0955  4 In 2.59-2.68
S: 0.0030 0.1789 0.1966  3 In 2.61-2.71
S: 0.0030 0.4178 0.0560  3 In 2.58-2.61
S: 0.0045 0.5326 0.4556  2 In 2.60-2.61, 1 Sn 2.89
S: 0.0050 0.2139 0.5764  3 In 2.65-2.75
S: 0.0074 0.7421 0.9330  2 In 2.61-2.64, 1 Sn 2.74
S: 0.4943 0.3503 0.7871  1 In 2.58, 3 Sn 2.74-2.82
S: 0.4947 0.1401 0.3183  1 In 2.60, 3 Sn 2.71-2.79
S: 0.4956 0.3895 0.9370  4 Sn 2.69-2.97
S: 0.4967 0.1096 0.9829  3 In 2.58-2.62
S: 0.4972 0.1749 0.4694  4 Sn 2.73-3.04
S: 0.4970 0.5423 0.2529  3 In 2.50-2.58
S: 0.4972 0.6753 0.5310  3 In 2.56-2.73
S: 0.4972 0.8814 0.0079  3 In 2.60-2.72
S: 0.4981 0.5784 0.6442  3 In 2.54-2.74
S: 0.4980 0.7417 0.7278  3 In 2.60-2.63
S: 0.4978 0.9050 0.5082  3 In 2.55-2.63
S: 0.5005 0.9673 0.2061  3 In 2.50-2.70
S: 0.5006 0.3782 0.1681  6 In 2.76-2.82
S: 0.5007 0.7899 0.1297  3 In 2.49-2.69
S: 0.5016 0.0799 0.8039  3 In 2.55-2.67
S: 0.5031 0.0150 0.6061  3 In 2.60-2.63
S: 0.5035 0.5819 0.8659  3 Sn 2.72-2.75
S: 0.5028 0.8513 0.8268  3 In 2.55-2.68
S: 0.5040 0.2139 0.0829  3 In 2.49-2.57
S: 0.5041 0.6466 0.3522  3 In 2.54-2.63
S: 0.5035 0.8747 0.3279  3 In 2.58-2.71
S: 0.5055 0.3678 0.3975  4 Sn 2.67-2.98
S: 0.5057 0.1756 0.6891  3 In 2.56-2.74
S: 0.5060 0.4083 0.5464  1 In 2.59, 3 Sn 2.73-2.84
S: 0.5065 0.6166 0.0171  1 In 2.58, 3 Sn 2.72-2.79
S: 0.9936 0.0146 0.4026  2 In 2.60-2.63, 1 Sn 2.77
S: 0.9964 0.2267 0.8826  2 In 2.59-2.60, 1 Sn 2.72
S: 0.9962 0.5449 0.7583  3 In 2.62-2.70
S: 0.9983 0.3398 0.2803  3 In 2.60-2.64
S: 0.9982 0.5787 0.1395  3 In 2.60-2.74
S: 0.9979 0.7535 0.2402  4 In 2.60-2.69
S: 0.9994 0.9535 0.7138  4 In 2.61-2.69
S: 0.9991 0.9796 0.9057  6 In 2.69-2.95

E_form, eV/atom: -0.77


No. 2
First-principles (PBE-GGA) data for a relaxed In2Sn3S7 crystal, as listed in the Materials Project database.

abc: 11.4993 3.8472 13.0811
angles: 90.00 105.84 90.00
Closest atoms and distances in Å follow each position.
Positions (direct):
In: 0.0130 0.2500 0.1230  6 S 2.60-2.73
In: 0.0229 0.7500 0.3844  6 S 2.58-2.69
In: 0.9771 0.2500 0.6156  6 S 2.58-2.69
In: 0.9870 0.7500 0.8770  6 S 2.60-2.73
Sn: 0.3260 0.2500 0.0083  6 S 2.82-3.10
Sn: 0.3314 0.2500 0.7203  4 S 2.82-3.14
Sn: 0.3879 0.2500 0.3872  6 S 2.57-2.68
Sn: 0.6121 0.7500 0.6128  6 S 2.57-2.68
Sn: 0.6686 0.7500 0.2797  4 S 2.82-3.14
Sn: 0.6740 0.7500 0.9917  6 S 2.82-3.10
S: 0.1114 0.2500 0.8188  3 In 2.63-2.69
S: 0.1207 0.7500 0.5872  3 In 2.58-2.63
S: 0.1408 0.7500 0.0642  3 In 2.60-2.66
S: 0.1543 0.2500 0.3279  1 Sn 2.59, 3 In 2.67-2.73
S: 0.3819 0.7500 0.5287  3 Sn 2.57-2.68
S: 0.4021 0.7500 0.8828  5 Sn 2.82-3.06
S: 0.4113 0.7500 0.2630  2 Sn 2.58
S: 0.5887 0.2500 0.7370  2 Sn 2.58
S: 0.5979 0.2500 0.1172  5 Sn 2.82-3.06
S: 0.6181 0.2500 0.4713  3 Sn 2.57-2.68
S: 0.8457 0.7500 0.6721  1 Sn 2.59, 3 In 2.67-2.73
S: 0.8592 0.2500 0.9358  3 In 2.60-2.66
S: 0.8793 0.2500 0.4128  3 In 2.58-2.63
S: 0.8886 0.7500 0.1812  3 In 2.63-2.69

E_form, eV/atom: -0.72


No. 3
First-principles (PBE-GGA) data for a relaxed In4SnS8 crystal, as listed in the Materials Project database.

abc: 7.6626 7.6626 7.6626
angles: 60.14 60.14 60.14
Closest atoms and distances in Å follow each position.
Positions (direct):
In: 0.0000 0.0000 0.0000  4 S 2.51-2.55
In: 0.3822 0.3822 0.8446  6 S 2.57-2.73
In: 0.3822 0.8446 0.3822  6 S 2.57-2.73
In: 0.8446 0.3822 0.3822  6 S 2.57-2.73
Sn: 0.3829 0.3829 0.3829  6 S 2.52-2.72
S: 0.1297 0.6149 0.6149  1 Sn 2.52, 2 In 2.62
S: 0.1339 0.1339 0.1339  4 In 2.51-2.71
S: 0.1339 0.1339 0.5931  3 In 2.55-2.73, 1 Sn 2.72
S: 0.1339 0.5931 0.1339  3 In 2.55-2.73, 1 Sn 2.72
S: 0.5931 0.1339 0.1339  3 In 2.55-2.73, 1 Sn 2.72
S: 0.6149 0.1297 0.6149  1 Sn 2.52, 2 In 2.62
S: 0.6149 0.6149 0.1297  1 Sn 2.52, 2 In 2.62
S: 0.6187 0.6187 0.6187  3 In 2.57

E_form, eV/atom: -0.79
Largest piezoelectric modulus, C/m²: 0.35


No. 4
First-principles (PBE-GGA) data for a relaxed In4SnS4 crystal, as listed in the Materials Project database.

abc: 12.6415 12.6415 12.6415
angles: 90.00 90.00 90.00
Closest atoms and distances in Å follow each position.
Positions (direct):
In: 0.0259 0.0673 0.2688  3 S 2.53-2.57
In: 0.0259 0.4327 0.7688  3 S 2.53-2.57
In: 0.0673 0.2312 0.5259  3 S 2.53-2.57
In: 0.0673 0.2688 0.0259  3 S 2.53-2.57
In: 0.2298 0.7298 0.7702  3 S 2.58, 1 Sn 2.83
In: 0.2298 0.7702 0.2702  3 S 2.58, 1 Sn 2.83
In: 0.2312 0.5259 0.0673  3 S 2.53-2.57
In: 0.2312 0.9741 0.5673  3 S 2.53-2.57
In: 0.2688 0.0259 0.0673  3 S 2.53-2.57
In: 0.2688 0.4741 0.5673  3 S 2.53-2.57
In: 0.2702 0.2298 0.7702  3 S 2.58, 1 Sn 2.83
In: 0.2702 0.2702 0.2702  3 S 2.58, 1 Sn 2.83
In: 0.4327 0.7312 0.5259  3 S 2.53-2.57
In: 0.4327 0.7688 0.0259  3 S 2.53-2.57
In: 0.4741 0.5673 0.2688  3 S 2.53-2.57
In: 0.4741 0.9327 0.7688  3 S 2.53-2.57
In: 0.5259 0.0673 0.2312  3 S 2.53-2.57
In: 0.5259 0.4327 0.7312  3 S 2.53-2.57
In: 0.5673 0.2312 0.9741  3 S 2.53-2.57
In: 0.5673 0.2688 0.4741  3 S 2.53-2.57
In: 0.7298 0.7298 0.7298  3 S 2.58, 1 Sn 2.83
In: 0.7298 0.7702 0.2298  3 S 2.58, 1 Sn 2.83
In: 0.7312 0.5259 0.4327  3 S 2.53-2.57
In: 0.7312 0.9741 0.9327  3 S 2.53-2.57
In: 0.7688 0.0259 0.4327  3 S 2.53-2.57
In: 0.7688 0.4741 0.9327  3 S 2.53-2.57
In: 0.7702 0.2298 0.7298  3 S 2.58, 1 Sn 2.83
In: 0.7702 0.2702 0.2298  3 S 2.58, 1 Sn 2.83
In: 0.9327 0.7312 0.9741  3 S 2.53-2.57
In: 0.9327 0.7688 0.4741  3 S 2.53-2.57
In: 0.9741 0.5673 0.2312  3 S 2.53-2.57
In: 0.9741 0.9327 0.7312  3 S 2.53-2.57
Sn: 0.1004 0.6004 0.8996  4 In 2.83-2.85
Sn: 0.1004 0.8996 0.3996  4 In 2.83-2.85
Sn: 0.3996 0.1004 0.8996  4 In 2.83-2.85
Sn: 0.3996 0.3996 0.3996  4 In 2.83-2.85
Sn: 0.6004 0.6004 0.6004  4 In 2.83-2.85
Sn: 0.6004 0.8996 0.1004  4 In 2.83-2.85
Sn: 0.8996 0.1004 0.6004  4 In 2.83-2.85
Sn: 0.8996 0.3996 0.1004  4 In 2.83-2.85
S: 0.0742 0.2440 0.8244  3 In 2.56-2.58
S: 0.0742 0.2560 0.3244  3 In 2.56-2.58
S: 0.0751 0.0751 0.0751  3 In 2.53
S: 0.0751 0.4249 0.5751  3 In 2.53
S: 0.1756 0.5742 0.2560  3 In 2.56-2.58
S: 0.1756 0.9258 0.7560  3 In 2.56-2.58
S: 0.2440 0.6756 0.5742  3 In 2.56-2.58
S: 0.2440 0.8244 0.0742  3 In 2.56-2.58
S: 0.2560 0.1756 0.5742  3 In 2.56-2.58
S: 0.2560 0.3244 0.0742  3 In 2.56-2.58
S: 0.3244 0.0742 0.2560  3 In 2.56-2.58
S: 0.3244 0.4258 0.7560  3 In 2.56-2.58
S: 0.4249 0.5751 0.0751  3 In 2.53
S: 0.4249 0.9249 0.5751  3 In 2.53
S: 0.4258 0.7440 0.8244  3 In 2.56-2.58
S: 0.4258 0.7560 0.3244  3 In 2.56-2.58
S: 0.5742 0.2440 0.6756  3 In 2.56-2.58
S: 0.5742 0.2560 0.1756  3 In 2.56-2.58
S: 0.5751 0.0751 0.4249  3 In 2.53
S: 0.5751 0.4249 0.9249  3 In 2.53
S: 0.6756 0.5742 0.2440  3 In 2.56-2.58
S: 0.6756 0.9258 0.7440  3 In 2.56-2.58
S: 0.7440 0.6756 0.9258  3 In 2.56-2.58
S: 0.7440 0.8244 0.4258  3 In 2.56-2.58
S: 0.7560 0.1756 0.9258  3 In 2.56-2.58
S: 0.7560 0.3244 0.4258  3 In 2.56-2.58
S: 0.8244 0.0742 0.2440  3 In 2.56-2.58
S: 0.8244 0.4258 0.7440  3 In 2.56-2.58
S: 0.9249 0.5751 0.4249  3 In 2.53
S: 0.9249 0.9249 0.9249  3 In 2.53
S: 0.9258 0.7440 0.6756  3 In 2.56-2.58
S: 0.9258 0.7560 0.1756  3 In 2.56-2.58

E_form, eV/atom: -0.70


No. 5
First-principles (PBE-GGA) data for a relaxed TaInS2 crystal, as listed in the Materials Project database.

abc: 3.3249 3.3249 8.9364
angles: 90.00 90.00 120.00
Closest atoms and distances in Å follow each position.
Positions (direct):
Ta: 0.0000 0.0000 0.0000  6 S 2.48
In: 0.3333 0.6667 0.5000  2 S 2.90
S: 0.3333 0.6667 0.1756  3 Ta 2.48
S: 0.3333 0.6667 0.8244  3 Ta 2.48

E_form, eV/atom: -1.11


No. 6
First-principles (PBE-GGA) data for a relaxed TaInS2 crystal, as listed in the Materials Project database.

abc: 3.3572 3.3572 16.7169
angles: 90.00 90.00 120.00
Closest atoms and distances in Å follow each position.
Positions (direct):
Ta: 0.0000 0.0000 0.2500  6 S 2.50
Ta: 0.0000 0.0000 0.7500  6 S 2.50
In: 0.0000 0.0000 0.0000  6 S 3.25, 6 In 3.36
In: 0.0000 0.0000 0.5000  6 S 3.25, 6 In 3.36
S: 0.3333 0.6667 0.1557  3 Ta 2.50
S: 0.3333 0.6667 0.3443  3 Ta 2.50
S: 0.6667 0.3333 0.6557  3 Ta 2.50
S: 0.6667 0.3333 0.8443  3 Ta 2.50

E_form, eV/atom: -1.08


No. 7
First-principles (PBE-GGA) data for a relaxed Tb3InS6 crystal, as listed in the Materials Project database.

abc: 13.4708 16.6584 3.8776
angles: 90.00 90.00 90.00
Closest atoms and distances in Å follow each position.
Positions (direct):
Tb: 0.0367 0.2231 0.2459  8 S 2.81-2.91
Tb: 0.1909 0.6436 0.2471  7 S 2.75-2.92
Tb: 0.2467 0.3899 0.2370  8 S 2.78-3.07
Tb: 0.2533 0.8899 0.7630  8 S 2.78-3.07
Tb: 0.3091 0.1436 0.7529  7 S 2.75-2.92
Tb: 0.4633 0.7231 0.7541  8 S 2.81-2.91
Tb: 0.5367 0.2769 0.7541  8 S 2.81-2.91
Tb: 0.6909 0.8564 0.7529  7 S 2.75-2.92
Tb: 0.7467 0.1101 0.7630  8 S 2.78-3.07
Tb: 0.7533 0.6101 0.2370  8 S 2.78-3.07
Tb: 0.8091 0.3564 0.2471  7 S 2.75-2.92
Tb: 0.9633 0.7769 0.2459  8 S 2.81-2.91
In: 0.0000 0.0000 0.8952  4 S 2.47-2.54
In: 0.0000 0.5000 0.7466  6 S 2.62-2.63
In: 0.5000 0.0000 0.2534  6 S 2.62-2.63
In: 0.5000 0.5000 0.1048  4 S 2.47-2.54
S: 0.0208 0.3945 0.2460  2 In 2.63, 2 Tb 2.86-2.92
S: 0.1031 0.9069 0.2685  1 In 2.54, 2 Tb 2.80-2.83
S: 0.1076 0.1150 0.7481  1 In 2.47, 1 Tb 2.75
S: 0.1150 0.7437 0.7486  5 Tb 2.75-3.07
S: 0.1789 0.2828 0.7412  5 Tb 2.78-2.91, 1 S 2.96
S: 0.1928 0.5192 0.7459  1 In 2.62, 2 Tb 2.83-2.84
S: 0.3072 0.0192 0.2541  1 In 2.62, 2 Tb 2.83-2.84
S: 0.3211 0.7828 0.2588  5 Tb 2.78-2.91, 1 S 2.96
S: 0.3850 0.2437 0.2514  5 Tb 2.75-3.07
S: 0.3923 0.6150 0.2519  1 In 2.47, 1 Tb 2.75
S: 0.3969 0.4069 0.7315  1 In 2.54, 2 Tb 2.80-2.83
S: 0.4792 0.8945 0.7540  2 In 2.63, 2 Tb 2.86-2.92
S: 0.5208 0.1055 0.7540  2 In 2.63, 2 Tb 2.86-2.92
S: 0.6031 0.5931 0.7315  1 In 2.54, 2 Tb 2.80-2.83
S: 0.6076 0.3850 0.2519  1 In 2.47, 1 Tb 2.75
S: 0.6150 0.7563 0.2514  5 Tb 2.75-3.07
S: 0.6789 0.2172 0.2588  5 Tb 2.78-2.91, 1 S 2.96
S: 0.6928 0.9808 0.2541  1 In 2.62, 2 Tb 2.83-2.84
S: 0.8072 0.4808 0.7459  1 In 2.62, 2 Tb 2.83-2.84
S: 0.8211 0.7172 0.7412  5 Tb 2.78-2.91, 1 S 2.96
S: 0.8850 0.2563 0.7486  5 Tb 2.75-3.07
S: 0.8924 0.8850 0.7481  1 In 2.47, 1 Tb 2.75
S: 0.8969 0.0931 0.2685  1 In 2.54, 2 Tb 2.80-2.83
S: 0.9792 0.6055 0.2460  2 In 2.63, 2 Tb 2.86-2.92

E_form, eV/atom: -1.99


No. 8
First-principles (PBE-GGA) data for a relaxed Tb4In5S13 crystal, as listed in the Materials Project database.

abc: 11.8986 21.4876 3.8881
angles: 90.00 90.00 90.00
Closest atoms and distances in Å follow each position.
Positions (direct):
Tb: 0.0149 0.1708 0.0000  7 S 2.84-2.89
Tb: 0.1705 0.3405 0.0000  8 S 2.81-3.10
Tb: 0.3295 0.8405 0.0000  8 S 2.81-3.10
Tb: 0.4851 0.6708 0.0000  7 S 2.84-2.89
Tb: 0.5149 0.3292 0.0000  7 S 2.84-2.89
Tb: 0.6705 0.1595 0.0000  8 S 2.81-3.10
Tb: 0.8295 0.6595 0.0000  8 S 2.81-3.10
Tb: 0.9851 0.8292 0.0000  7 S 2.84-2.89
In: 0.0000 0.5000 0.0000  2 S 2.48
In: 0.1553 0.9930 0.5000  6 S 2.60-2.73
In: 0.1557 0.6708 0.5000  4 S 2.48-2.54
In: 0.3443 0.1708 0.5000  4 S 2.48-2.54
In: 0.3447 0.4930 0.5000  6 S 2.60-2.73
In: 0.5000 0.0000 0.0000  2 S 2.48
In: 0.6553 0.5070 0.5000  6 S 2.60-2.73
In: 0.6557 0.8292 0.5000  4 S 2.48-2.54
In: 0.8443 0.3292 0.5000  4 S 2.48-2.54
In: 0.8447 0.0070 0.5000  6 S 2.60-2.73
S: 0.0000 0.0000 0.0000  4 In 2.69
S: 0.0051 0.4056 0.5000  3 In 2.52-2.81
S: 0.0792 0.2605 0.5000  4 Tb 2.81-2.84
S: 0.1521 0.8661 0.5000  1 In 2.73, 4 Tb 2.89-2.92
S: 0.1566 0.1147 0.5000  2 In 2.54-2.62, 2 Tb 2.84
S: 0.1677 0.7424 0.0000  2 In 2.48
S: 0.2032 0.4739 0.0000  3 In 2.48-2.60
S: 0.2968 0.9739 0.0000  3 In 2.48-2.60
S: 0.3323 0.2424 0.0000  2 In 2.48
S: 0.3434 0.6147 0.5000  2 In 2.54-2.62, 2 Tb 2.84
S: 0.3479 0.3661 0.5000  1 In 2.73, 4 Tb 2.89-2.92
S: 0.4208 0.7605 0.5000  4 Tb 2.81-2.84
S: 0.4949 0.9056 0.5000  3 In 2.52-2.81
S: 0.5000 0.5000 0.0000  4 In 2.69
S: 0.5051 0.0944 0.5000  3 In 2.52-2.81
S: 0.5792 0.2395 0.5000  4 Tb 2.81-2.84
S: 0.6521 0.6339 0.5000  1 In 2.73, 4 Tb 2.89-2.92
S: 0.6566 0.3853 0.5000  2 In 2.54-2.62, 2 Tb 2.84
S: 0.6677 0.7576 0.0000  2 In 2.48
S: 0.7032 0.0261 0.0000  3 In 2.48-2.60
S: 0.7968 0.5261 0.0000  3 In 2.48-2.60
S: 0.8323 0.2576 0.0000  2 In 2.48
S: 0.8434 0.8853 0.5000  2 In 2.54-2.62, 2 Tb 2.84
S: 0.8479 0.1339 0.5000  1 In 2.73, 4 Tb 2.89-2.92
S: 0.9208 0.7395 0.5000  4 Tb 2.81-2.84
S: 0.9949 0.5944 0.5000  3 In 2.52-2.81

E_form, eV/atom: -1.49